1.
The following is a DFT calculation (PBE with a Hubbard U) of LiFe2B2O6 after structural relaxation.

Lattice parameters (Å, degrees): 5.2396 9.1696 10.1884 88.77 89.46 89.51
Positions (direct):
Li (0.0000, 0.0000, 0.0000)
Li (0.1721, 0.1504, 0.2664)
Li (0.4972, 0.5123, 0.0114)
Li (0.6813, 0.6662, 0.7188)
Fe (0.0210, 0.3301, 0.4944)
Fe (0.1655, 0.8209, 0.2392)
Fe (0.1737, 0.4902, 0.7347)
Fe (0.5075, 0.1711, 0.9832)
Fe (0.5102, 0.8417, 0.4860)
Fe (0.6709, 0.3286, 0.2454)
Fe (0.6789, 0.0012, 0.7312)
Fe (0.9940, 0.6710, 0.9872)
B (0.0110, 0.3306, 0.9879)
B (0.0181, 0.6697, 0.4999)
B (0.1677, 0.4902, 0.2239)
B (0.1739, 0.8254, 0.7386)
B (0.4947, 0.8376, 0.9847)
B (0.5027, 0.1609, 0.4751)
B (0.6770, 0.3384, 0.7483)
B (0.6776, 0.0047, 0.2337)
O (0.0294, 0.3681, 0.2683)
O (0.0374, 0.9476, 0.7549)
O (0.0480, 0.6182, 0.1921)
O (0.0643, 0.6877, 0.7754)
O (0.1291, 0.5373, 0.5414)
O (0.1308, 0.4571, 0.9449)
O (0.1446, 0.2008, 0.0017)
O (0.1711, 0.7760, 0.4429)
O (0.2424, 0.8416, 0.0233)
O (0.2491, 0.1670, 0.4548)
O (0.4265, 0.8233, 0.6915)
O (0.4288, 0.4746, 0.2057)
O (0.5325, 0.8955, 0.2907)
O (0.5382, 0.1361, 0.1907)
O (0.5390, 0.4673, 0.7462)
O (0.5672, 0.2092, 0.7936)
O (0.6221, 0.0378, 0.5289)
O (0.6224, 0.9713, 0.9569)
O (0.6239, 0.7075, 0.9701)
O (0.6591, 0.2774, 0.4337)
O (0.7496, 0.3346, 0.0225)
O (0.7626, 0.6933, 0.5209)
O (0.9296, 0.3365, 0.7072)
O (0.9339, 0.0006, 0.2143)

Summary:
**ΔH_f (0 K)**: -2263 meV/atom
**Total energy**: -7.105 eV per atom

***

2.
The following is a DFT calculation (PBE with a Hubbard U) of LiFe2B2O6 after structural relaxation.

Lattice parameters (Å, degrees): 5.2098 9.0887 10.2166 88.88 89.06 89.64
Positions (direct):
Li (0.0000, 0.0000, 0.0000)
Li (0.0071, 0.9904, 0.5081)
Li (0.8200, 0.8397, 0.2542)
Li (0.8583, 0.8322, 0.7578)
Fe (0.0085, 0.3380, 0.9662)
Fe (0.3331, 0.0163, 0.2200)
Fe (0.3433, 0.6626, 0.7183)
Fe (0.5031, 0.8169, 0.9781)
Fe (0.5076, 0.1710, 0.4720)
Fe (0.8357, 0.4966, 0.2235)
Fe (0.8567, 0.1754, 0.7234)
Fe (0.9894, 0.6548, 0.4715)
B (0.0117, 0.3259, 0.4634)
B (0.0160, 0.6649, 0.9683)
B (0.3415, 0.6694, 0.2248)
B (0.3515, 0.9902, 0.7117)
B (0.4945, 0.8415, 0.4730)
B (0.5009, 0.1628, 0.9667)
B (0.8277, 0.1660, 0.2144)
B (0.8348, 0.5060, 0.7264)
O (0.0740, 0.6691, 0.2538)
O (0.0852, 0.9916, 0.7091)
O (0.2608, 0.6586, 0.9147)
O (0.2693, 0.3232, 0.4697)
O (0.3551, 0.7242, 0.5236)
O (0.3575, 0.2872, 0.9586)
O (0.3571, 0.9708, 0.4375)
O (0.3864, 0.0307, 0.0070)
O (0.4586, 0.8028, 0.1890)
O (0.4838, 0.8632, 0.7554)
O (0.4850, 0.5447, 0.2295)
O (0.4941, 0.1091, 0.6671)
O (0.5780, 0.5087, 0.7174)
O (0.5918, 0.1688, 0.2771)
O (0.7587, 0.8378, 0.4556)
O (0.7691, 0.1638, 0.9371)
O (0.8723, 0.2022, 0.5089)
O (0.8806, 0.4490, 0.4160)
O (0.8834, 0.7972, 0.9619)
O (0.9083, 0.5379, 0.0236)
O (0.9342, 0.2968, 0.1657)
O (0.9538, 0.0329, 0.1974)
O (0.9650, 0.3829, 0.7740)
O (0.9752, 0.6315, 0.6845)

Summary:
**ΔH_f (0 K)**: -2261 meV/atom
**Total energy**: -7.103 eV per atom

***

| no. | ΔE to the lowest computed polymorph (meV/atom) |
| --- | --- |
| 1 | 16 |
| 2 | 19 |